Entry 1:
A geometry-optimized FeOF structure, computed with PBE with a Hubbard U.

a = 4.7533 Å, b = 12.2649 Å, c = 4.7684 Å
α = 90.00°, β = 90.09°, γ = 90.00°
With the nearest neighbours (Å) after each atom.
Space group Pm (No. 6)
Unique sites:
Fe (0.0000, 0.0000, 0.0000)  3 O 1.93-1.94, 2 F 2.12
Fe (0.0820, 0.2496, 0.9548)  3 O 1.94-1.96, 2 F 2.08
Fe (0.0931, 0.5000, 0.9823)  3 O 1.93-1.97, 3 F 2.15
Fe (0.5074, 0.3746, 0.4729)  3 O 1.93-1.95, 2 F 2.13-2.14
Fe (0.5824, 0.1245, 0.5101)  3 O 1.94-1.96, 2 F 2.07-2.08
O (0.2436, 0.3714, 0.1603)  3 Fe 1.93-1.95
O (0.3538, 0.5000, 0.6622)  3 Fe 1.93-1.97
O (0.3669, 0.2464, 0.6646)  3 Fe 1.94-1.96
O (0.7375, 0.0000, 0.3114)  3 Fe 1.94
O (0.8653, 0.1270, 0.8028)  3 Fe 1.93-1.96
F (0.2546, 0.1224, 0.1871)  3 Fe 2.08-2.19
F (0.3559, 0.0000, 0.7006)  3 Fe 2.08-2.22
F (0.7461, 0.5000, 0.2722)  3 Fe 2.14-2.15
F (0.7571, 0.2514, 0.2820)  3 Fe 2.07-2.20
F (0.8547, 0.3760, 0.7710)  3 Fe 2.08-2.18

* energy of formation from the pure elements: -2.0414 eV per atom

Entry 2:
A geometry-optimized Ca5V3CO12 structure, computed with PBE with a Hubbard U.

a = 10.1764 Å, b = 10.1764 Å, c = 6.9266 Å
α = 90.00°, β = 90.00°, γ = 120.00°
With the nearest neighbours (Å) after each atom.
Space group P6_3/m (No. 176)
Unique sites:
Ca (0.0189, 0.7532, 0.2500)  5 O 2.34-2.50, 1 C 2.61
Ca (0.3333, 0.6667, 0.5035)  6 O 2.41-2.48
V (0.0296, 0.4034, 0.2500)  4 O 1.73-1.77
C (0.0000, 0.0000, 0.2500)  3 Ca 2.61
O (0.0897, 0.3417, 0.0525)  1 V 1.74
O (0.1382, 0.6037, 0.2500)  1 V 1.77
O (0.1633, 0.6609, 0.7500)  1 V 1.73

* energy of formation from the pure elements: -2.6109 eV per atom

Entry 3:
A geometry-optimized V3FeSn2P6O24 structure, computed with PBE with a Hubbard U.

a = 8.6136 Å, b = 8.6136 Å, c = 22.5099 Å
α = 90.00°, β = 90.00°, γ = 120.00°
With the nearest neighbours (Å) after each atom.
Space group R3 (No. 146, hexagonal axes)
Unique sites:
V (0.0000, 0.0000, 0.0000)  6 O 1.91-2.01
V (0.0000, 0.0000, 0.2049)  6 O 1.95-2.02
V (0.0000, 0.0000, 0.7036)  6 O 1.93-2.04
Fe (0.0000, 0.0000, 0.5015)  6 O 1.95-2.11
Sn (0.0000, 0.0000, 0.3561)  6 O 2.42-2.60
Sn (0.0000, 0.0000, 0.8522)  6 O 2.53-2.54
P (0.0001, 0.2877, 0.6018)  4 O 1.52-1.56
P (0.0473, 0.6674, 0.7682)  4 O 1.54-1.56
O (0.0177, 0.8210, 0.0445)  1 P 1.55
O (0.0244, 0.1899, 0.2632)  1 P 1.55
O (0.0270, 0.8366, 0.7630)  1 P 1.56
O (0.0289, 0.2077, 0.5454)  1 P 1.52
O (0.1558, 0.4640, 0.3256)  1 P 1.55
O (0.1557, 0.6909, 0.8252)  1 P 1.54
O (0.1688, 0.4779, 0.6087)  1 P 1.56
O (0.1692, 0.6959, 0.1051)  1 P 1.55

* energy of formation from the pure elements: -2.4957 eV per atom

Entry 4:
A geometry-optimized NaAl6Fe3Si6B3O31 structure, computed with PBE with a Hubbard U.

a = 16.0150 Å, b = 16.0150 Å, c = 7.3186 Å
α = 90.00°, β = 90.00°, γ = 120.00°
With the nearest neighbours (Å) after each atom.
Space group R3m (No. 160, hexagonal axes)
Unique sites:
Na (0.0000, 0.0000, 0.0000)  9 O 2.58-2.79
Al (0.0755, 0.3685, 0.0538)  6 O 1.90-2.02
Fe (0.1295, 0.0647, 0.4112)  6 O 1.97-2.06
Si (0.1419, 0.4745, 0.4482)  4 O 1.62-1.64
B (0.1113, 0.2226, 0.2345)  3 O 1.38-1.39
O (0.0000, 0.0000, 0.5366)  3 Fe 2.02
O (0.0011, 0.2870, 0.8586)  1 Si 1.62
O (0.0609, 0.2713, 0.2229)  1 B 1.38
O (0.0617, 0.1235, 0.2630)  1 B 1.39
O (0.0933, 0.1866, 0.8569)  2 Si 1.64
O (0.1435, 0.4725, 0.2256)  1 Si 1.63
O (0.1838, 0.0919, 0.8635)  2 Si 1.64
O (0.2027, 0.4055, 0.9765)  2 Al 1.90, 1 Fe 1.97

* energy of formation from the pure elements: -2.9523 eV per atom

Entry 5:
A geometry-optimized K2P2WO9 structure, computed with PBE with a Hubbard U.

a = 14.1231 Å, b = 8.2372 Å, c = 15.7599 Å
α = 90.00°, β = 98.85°, γ = 90.00°
With the nearest neighbours (Å) after each atom.
Space group C2/c (No. 15)
Unique sites:
K (0.1460, 0.1520, 0.2382)  5 O 2.73-2.87
K (0.1492, 0.0755, 0.9735)  5 O 2.70-3.02
P (0.0370, 0.3053, 0.4224)  4 O 1.50-1.62
P (0.1274, 0.4186, 0.8450)  4 O 1.50-1.62
W (0.1122, 0.3577, 0.6356)  2 O 1.77-1.78
O (0.0255, 0.1538, 0.3690)  1 P 1.50
O (0.0372, 0.3223, 0.8565)  1 P 1.54
O (0.0520, 0.4142, 0.0845)  1 P 1.53
O (0.0715, 0.2586, 0.5183)  1 P 1.56
O (0.1204, 0.4783, 0.7494)  1 P 1.57
O (0.1251, 0.4110, 0.3965)  2 P 1.62
O (0.1432, 0.1684, 0.6849)  1 W 1.77
O (0.2199, 0.3365, 0.8796)  1 P 1.50
O (0.2249, 0.4279, 0.6140)  1 W 1.78

* energy of formation from the pure elements: -2.5550 eV per atom

Entry 6:
A geometry-optimized K2CoH12Se2O14 structure, computed with PBE with a Hubbard U.

a = 7.3057 Å, b = 12.8332 Å, c = 9.6844 Å
α = 90.00°, β = 109.52°, γ = 90.00°
With the nearest neighbours (Å) after each atom.
Space group P2_1/c (No. 14)
Unique sites:
K (0.1345, 0.1904, 0.3720)  4 O 2.67-2.80
Co (0.5000, 0.0000, 0.0000)  4 O 1.73-1.78
H (0.0801, 0.5058, 0.6835)  1 O 0.98
H (0.2746, 0.6516, 0.5346)  1 O 1.01
H (0.3027, 0.0165, 0.2166)  1 O 1.00
H (0.3252, 0.5751, 0.2055)  1 O 1.04
H (0.4322, 0.1883, 0.1344)  1 O 1.00
H (0.4971, 0.2098, 0.7219)  1 O 0.99
Se (0.2486, 0.6664, 0.9788)  2 O 1.65-1.79
O (0.0243, 0.6991, 0.8795)  1 Se 1.65
O (0.1998, 0.5894, 0.1167)  1 H 1.04
O (0.2030, 0.0028, 0.2641)  2 H 0.98-1.00
O (0.2580, 0.5348, 0.4554)  1 H 1.67, 1 Co 1.73
O (0.3216, 0.7163, 0.5965)  1 H 1.01
O (0.4111, 0.2350, 0.6257)  2 H 0.99-1.00
O (0.4897, 0.0591, 0.1632)  3 H 1.53-1.71

* offset from the most stable computed form: 212.8 meV/atom
* energy of formation from the pure elements: -1.1883 eV per atom

Entry 7:
A geometry-optimized MgFe6O6F6 structure, computed with PBE with a Hubbard U.

a = 7.5839 Å, b = 3.0851 Å, c = 10.7244 Å
α = 90.00°, β = 107.89°, γ = 90.00°
With the nearest neighbours (Å) after each atom.
Space group Pm (No. 6)
Unique sites:
Mg (0.0000, 0.0000, 0.0000)  4 F 1.98-2.02, 2 O 2.15
Fe (0.2227, 0.0000, 0.7629)  3 O 1.91-1.97
Fe (0.3601, 0.5000, 0.1961)  3 O 1.93-1.94, 2 F 2.15
Fe (0.5373, 0.0000, 0.4933)  3 O 1.86-1.94
Fe (0.6431, 0.5000, 0.8480)  3 O 1.93-1.99, 3 F 2.14-2.16
Fe (0.7498, 0.0000, 0.1562)  1 O 1.99, 2 F 2.11
Fe (0.9545, 0.5000, 0.4999)  3 O 1.93-2.00, 3 F 2.05-2.10
O (0.0852, 0.5000, 0.6849)  3 Fe 1.91-1.93
O (0.4342, 0.5000, 0.3858)  3 Fe 1.94
O (0.4899, 0.0000, 0.1613)  3 Fe 1.93-1.99
O (0.4920, 0.0000, 0.8523)  3 Fe 1.93-1.97
O (0.7862, 0.0000, 0.5012)  3 Fe 1.86-2.00
O (0.8192, 0.5000, 0.0288)  1 Fe 1.99, 2 Mg 2.15
F (0.1169, 0.0000, 0.4728)  2 Fe 2.05
F (0.1584, 0.0000, 0.1871)  1 Mg 2.00, 2 Fe 2.15
F (0.1675, 0.5000, 0.9900)  2 Mg 2.02, 1 Fe 2.24
F (0.5522, 0.5000, 0.6367)  3 Fe 2.16
F (0.8237, 0.0000, 0.8201)  1 Mg 1.98, 2 Fe 2.14
F (0.8514, 0.5000, 0.2939)  3 Fe 2.10-2.11

* offset from the most stable computed form: 32.3 meV/atom
* energy of formation from the pure elements: -2.1114 eV per atom

Entry 8:
A geometry-optimized Li7Co5O12 structure, computed with PBE with a Hubbard U.

a = 5.6935 Å, b = 6.4072 Å, c = 6.4173 Å
α = 96.80°, β = 116.10°, γ = 102.94°
With the nearest neighbours (Å) after each atom.
Space group P-1 (No. 2)
Unique sites:
Li (0.0000, 0.0000, 0.0000)  6 O 2.02-2.07
Li (0.2474, 0.3272, 0.8352)  6 O 2.11-2.15
Li (0.2513, 0.6794, 0.1666)  6 O 2.04-2.17
Li (0.2584, 0.0014, 0.4958)  6 O 2.03-2.17
Co (0.9997, 0.3274, 0.3271)  6 O 1.83-1.95
Co (0.4983, 0.3325, 0.3322)  6 O 1.91-1.96
Co (0.5000, 0.0000, 0.0000)  6 O 1.93-1.94
O (0.1270, 0.6483, 0.4369)  3 Co 1.95, 3 Li 2.14-2.16
O (0.1366, 0.9743, 0.7540)  2 Co 1.83-1.93
O (0.1398, 0.3412, 0.1168)  2 Co 1.85-1.91, 1 Li 2.06
O (0.3639, 0.3445, 0.5614)  3 Co 1.92-1.96, 2 Li 2.08-2.14
O (0.3689, 0.6793, 0.8998)  3 Co 1.94-1.95, 3 Li 2.09-2.14
O (0.3850, 0.0168, 0.2420)  2 Co 1.91-1.93, 4 Li 2.02-2.05

* offset from the most stable computed form: 12.1 meV/atom
* energy of formation from the pure elements: -1.7506 eV per atom

Entry 9:
A geometry-optimized MgCr2Sb2P4O16 structure, computed with PBE with a Hubbard U.

a = 4.8994 Å, b = 6.5331 Å, c = 11.0484 Å
α = 85.29°, β = 89.51°, γ = 89.40°
With the nearest neighbours (Å) after each atom.
Space group P-1 (No. 2)
Unique sites:
Mg (0.0000, 0.0000, 0.0000)  4 O 2.07-2.12
Cr (0.1039, 0.7774, 0.3055)  4 O 2.02-2.20
Sb (0.4747, 0.6957, 0.7733)  3 O 2.04-2.22
P (0.0761, 0.2540, 0.4037)  4 O 1.51-1.59
P (0.3892, 0.2078, 0.8765)  4 O 1.54-1.58
O (0.1189, 0.2380, 0.5390)  1 P 1.51
O (0.2198, 0.4507, 0.3372)  1 P 1.59
O (0.2287, 0.0824, 0.3360)  1 P 1.58
O (0.2347, 0.7432, 0.6236)  1 P 1.55
O (0.2403, 0.0094, 0.8392)  1 P 1.58
O (0.2786, 0.2351, 0.0050)  1 P 1.54
O (0.2916, 0.3858, 0.7825)  1 P 1.57
O (0.2941, 0.8099, 0.1314)  1 P 1.56

* energy of formation from the pure elements: -2.4644 eV per atom

Entry 10:
A geometry-optimized Li9Mn2Co5O16 structure, computed with PBE with a Hubbard U.

a = 10.0622 Å, b = 5.8352 Å, c = 9.7550 Å
α = 90.00°, β = 100.09°, γ = 90.00°
With the nearest neighbours (Å) after each atom.
Space group C2 (No. 5)
Unique sites:
Li (0.0000, 0.9997, 0.0000)  6 O 2.06-2.07
Li (0.1211, 0.7534, 0.2469)  6 O 2.09-2.23
Li (0.1220, 0.2458, 0.2473)  6 O 2.06-2.23
Li (0.1223, 0.9989, 0.7582)  6 O 2.09-2.22
Li (0.1259, 0.5000, 0.7555)  6 O 2.05-2.19
Mn (0.0000, 0.2502, 0.5000)  6 O 1.94-1.97
Mn (0.0000, 0.4997, 0.0000)  6 O 1.94-1.95
Co (0.0000, 0.7494, 0.5000)  6 O 2.07-2.08
Co (0.2501, 0.2498, 0.0005)  6 O 1.90-2.07
Co (0.2497, 0.4989, 0.4993)  6 O 1.98-2.06
O (0.0605, 0.0130, 0.3816)  1 Mn 1.97, 2 Co 2.06-2.08, 3 Li 2.06-2.16
O (0.0605, 0.4839, 0.3843)  1 Mn 1.94, 2 Co 2.03-2.07, 2 Li 2.09-2.12
O (0.0696, 0.7358, 0.8901)  1 Co 1.94, 1 Mn 1.95, 4 Li 2.05-2.14
O (0.0706, 0.2639, 0.8921)  1 Co 1.93, 1 Mn 1.94, 3 Li 2.06-2.15
O (0.1769, 0.5008, 0.1166)  1 Mn 1.94, 2 Co 2.06-2.07, 2 Li 2.09-2.10
O (0.1788, 0.2490, 0.6158)  1 Mn 1.95, 2 Co 2.05, 2 Li 2.13-2.16
O (0.1948, 0.7495, 0.6162)  3 Co 1.98-2.08, 2 Li 2.08-2.19
O (0.1971, 0.9990, 0.1033)  2 Co 1.90, 2 Li 2.05-2.06

* offset from the most stable computed form: 34.0 meV/atom
* energy of formation from the pure elements: -1.8302 eV per atom